1.
The following is a PBE calculation of a relaxed structure of EuPtO3, from Materials Project.

The structure in POSCAR format:
```
EuPtO3
1.0
4.0667 0.0000 0.0000
0.0000 4.0667 0.0000
0.0000 0.0000 4.0667
Eu Pt O
1 1 3
Direct
0.5000 0.5000 0.5000
0.0000 0.0000 0.0000
0.0000 0.0000 0.5000
0.0000 0.5000 0.0000
0.5000 0.0000 0.0000
```

Values from the calculation:
Its total energy is -7.572 eV per atom. As for the crystal system: cubic. Its formation energy is -1.75 eV/atom.

2.
The following is a PBE calculation of a relaxed structure of La19Ru8O48, from Materials Project.

The structure in POSCAR format:
```
La19Ru8O48
1.0
-0.7991 5.5589 -0.2047
-8.2270 -1.4049 -5.8686
-10.7673 -1.4136 15.7639
La Ru O
19 8 48
Direct
0.2187 0.3392 0.6490
0.2026 0.1441 0.1632
0.2434 0.0718 0.9495
0.2430 0.7204 0.6746
0.2415 0.4112 0.4528
0.2714 0.4803 0.8371
0.2426 0.7796 0.1777
0.2645 0.0255 0.3490
0.2581 0.4062 0.0344
0.7415 0.5944 0.9647
0.7268 0.9864 0.6549
0.7575 0.2210 0.8224
0.7391 0.9219 0.4712
0.7285 0.5193 0.1609
0.7496 0.5739 0.5481
0.7564 0.2793 0.3255
0.7561 0.9276 0.0500
0.8016 0.8552 0.8357
0.7930 0.6478 0.3452
0.2381 0.0873 0.7486
0.2366 0.4132 0.2497
0.2510 0.7500 0.5061
0.2502 0.7502 0.0073
0.7493 0.2495 0.9930
0.7466 0.2487 0.4937
0.7620 0.5866 0.7495
0.7631 0.9124 0.2526
0.0239 0.8617 0.9513
0.0312 0.2898 0.9335
0.0296 0.6319 0.4516
0.0164 0.2146 0.4266
0.0550 0.6745 0.7892
0.0642 0.0501 0.8379
0.0528 0.8252 0.2898
0.0705 0.4518 0.3364
0.0941 0.9233 0.7159
0.1033 0.5761 0.2136
0.1698 0.5866 0.9500
0.1640 0.8993 0.4473
0.3226 0.5899 0.5644
0.3445 0.2627 0.7866
0.3275 0.9095 0.0661
0.3433 0.2376 0.2838
0.3897 0.1271 0.6624
0.3775 0.3736 0.1563
0.4479 0.5129 0.7178
0.4673 0.8523 0.5688
0.4497 0.9864 0.2197
0.4882 0.3162 0.5504
0.4569 0.6258 0.0664
0.4692 0.1957 0.0472
0.5296 0.8049 0.9533
0.5435 0.3743 0.9341
0.5356 0.7000 0.4517
0.5506 0.0128 0.7821
0.5595 0.1358 0.4266
0.5524 0.4872 0.2810
0.6223 0.6263 0.8435
0.6231 0.8770 0.3445
0.6537 0.7629 0.7166
0.6720 0.0907 0.9346
0.6538 0.7370 0.2158
0.6698 0.4107 0.4342
0.8161 0.0959 0.5498
0.8306 0.4138 0.0499
0.8925 0.4247 0.7872
0.9048 0.0766 0.2846
0.9308 0.5492 0.6633
0.9476 0.1751 0.7102
0.9320 0.9492 0.1633
0.9462 0.3251 0.2102
0.9704 0.7887 0.5666
0.9703 0.3664 0.5474
0.9677 0.7099 0.0669
0.9750 0.1374 0.0490
```

Values from the calculation:
Its total energy is -7.986 eV per atom. As for the crystal system: triclinic. Its formation energy is -3.02 eV/atom.

3.
The following is a PBE calculation of a relaxed structure of CsDyZnTe3, from Materials Project.

The structure in POSCAR format:
```
CsDyZnTe3
1.0
-4.1777 -0.3010 1.4449
0.6351 -6.3670 -6.2834
3.3840 -7.7291 8.1740
Cs Dy Zn Te
2 2 2 6
Direct
0.7462 0.4924 0.7500
0.2538 0.5076 0.2500
0.0000 0.0000 0.0000
0.0000 0.0000 0.5000
0.4620 0.9240 0.7500
0.5380 0.0760 0.2500
0.3813 0.7625 0.9423
0.6187 0.2375 0.0577
0.6187 0.2375 0.4423
0.3813 0.7625 0.5577
0.0581 0.1162 0.7500
0.9419 0.8838 0.2500
```

Values from the calculation:
Its total energy is -3.796 eV per atom. As for the crystal system: orthorhombic. Its formation energy is -1.31 eV/atom.

4.
The following is a PBE calculation of a relaxed structure of KHgH2Cl3O, from Materials Project.

The structure in POSCAR format:
```
KHgH2Cl3O
1.0
4.2900 0.0000 0.0000
0.0000 8.7567 0.0000
0.0000 0.0000 18.2291
K Hg H Cl O
4 4 8 12 4
Direct
0.2500 0.9024 0.1908
0.7500 0.0976 0.8092
0.7500 0.5976 0.6908
0.2500 0.4024 0.3092
0.2500 0.5462 0.9052
0.7500 0.4538 0.0948
0.7500 0.9538 0.4052
0.2500 0.0462 0.5948
0.2500 0.6019 0.5443
0.7500 0.3981 0.4557
0.7500 0.8981 0.0443
0.2500 0.1019 0.9557
0.2500 0.9329 0.9290
0.7500 0.0671 0.0710
0.7500 0.5671 0.4290
0.2500 0.4329 0.5710
0.2500 0.6597 0.0340
0.7500 0.3403 0.9660
0.7500 0.8403 0.5340
0.2500 0.1597 0.4660
0.2500 0.8922 0.7097
0.7500 0.1078 0.2903
0.7500 0.6078 0.2097
0.2500 0.3922 0.7903
0.2500 0.7706 0.3685
0.7500 0.2294 0.6315
0.7500 0.7294 0.8685
0.2500 0.2706 0.1315
0.2500 0.5384 0.5883
0.7500 0.4616 0.4117
0.7500 0.9616 0.0883
0.2500 0.0384 0.9117
```

Values from the calculation:
Its total energy is -3.424 eV per atom. As for the crystal system: orthorhombic. Its formation energy is -1.17 eV/atom.

5.
The following is a PBE calculation of a relaxed structure of Ca2RuO4, from Materials Project.

The structure in POSCAR format:
```
Ca2RuO4
1.0
2.1883 3.0721 5.7132
-3.1522 2.1751 -5.6744
-4.7388 -0.8874 2.2923
Ca Ru O
4 2 8
Direct
0.3464 0.6536 0.0000
0.1536 0.8464 0.5000
0.8464 0.1536 0.5000
0.6536 0.3464 0.0000
0.0000 0.0000 0.0000
0.5000 0.5000 0.5000
0.6659 0.3341 0.5000
0.8341 0.1659 0.0000
0.3341 0.6659 0.5000
0.1659 0.8341 0.0000
0.8189 0.8189 0.3187
0.6811 0.6811 0.8187
0.1811 0.1811 0.6813
0.3189 0.3189 0.1813
```

Values from the calculation:
Its total energy is -6.836 eV per atom. As for the crystal system: orthorhombic. Its formation energy is -2.50 eV/atom.

6.
The following is a PBE calculation of a relaxed structure of Li2FeN, from Materials Project.

The structure in POSCAR format:
```
Li2FeN
1.0
-0.5794 1.2719 -3.4748
0.2559 3.4289 1.2125
2.9836 -1.7577 -1.1409
Li Fe N
2 1 1
Direct
0.0000 0.6667 0.3333
0.0000 0.3333 0.6667
0.5000 0.0000 0.0000
0.0000 0.0000 0.0000
```

Values from the calculation:
Its total energy is -5.378 eV per atom. As for the crystal system: hexagonal. Its formation energy is -0.31 eV/atom.

7.
The following is a PBE calculation of a relaxed structure of CaPb3, from Materials Project.

The structure in POSCAR format:
```
CaPb3
1.0
4.9627 0.0000 0.0000
0.0000 4.9627 0.0000
0.0000 0.0000 4.9627
Ca Pb
1 3
Direct
0.0000 0.0000 0.0000
0.0000 0.5000 0.5000
0.5000 0.5000 0.0000
0.5000 0.0000 0.5000
```

Values from the calculation:
Its total energy is -3.576 eV per atom. As for the crystal system: cubic. Its formation energy is -0.29 eV/atom.

8.
The following is a PBE calculation of a relaxed structure of CeSnRh, from Materials Project.

The structure in POSCAR format:
```
CeSnRh
1.0
3.7480 -6.4917 0.0000
3.7480 6.4917 0.0000
0.0000 0.0000 4.0819
Ce Sn Rh
3 3 3
Direct
0.0000 0.4138 0.0000
0.5862 0.5862 0.0000
0.4138 0.0000 0.0000
0.2528 0.2528 0.5000
0.0000 0.7472 0.5000
0.7472 0.0000 0.5000
0.6667 0.3333 0.5000
0.3333 0.6667 0.5000
0.0000 0.0000 0.0000
```

Values from the calculation:
Its total energy is -6.654 eV per atom. As for the crystal system: hexagonal. Its formation energy is -0.88 eV/atom.

9.
The following is a PBE calculation of a relaxed structure of TiV4Si3, from Materials Project.

The structure in POSCAR format:
```
TiV4Si3
1.0
2.7619 -1.3025 -3.5941
6.4338 -1.8315 2.5136
-0.7090 -7.0264 -1.0928
Ti V Si
2 8 6
Direct
0.7500 0.5000 0.5000
0.2500 0.5000 0.5000
0.2201 0.7079 0.8519
0.7799 0.2921 0.1481
0.2799 0.1481 0.2921
0.7201 0.8519 0.7079
0.0720 0.1481 0.7079
0.9280 0.8519 0.2921
0.5720 0.7079 0.1481
0.4280 0.2921 0.8519
0.6703 0.1594 0.5000
0.3297 0.8406 0.5000
0.8297 0.5000 0.8406
0.1703 0.5000 0.1594
0.2500 0.0000 0.0000
0.7500 0.0000 0.0000
```

Values from the calculation:
Its total energy is -8.122 eV per atom. As for the crystal system: tetragonal. Its formation energy is -0.53 eV/atom.

10.
The following is a PBE calculation of a relaxed structure of Ba2Sb, from Materials Project.

The structure in POSCAR format:
```
Ba2Sb
1.0
-2.6493 2.6493 9.5214
2.6493 -2.6493 9.5214
2.6493 2.6493 -9.5214
Ba Sb
4 2
Direct
0.3198 0.3198 0.0000
0.6802 0.6802 0.0000
0.5000 0.0000 0.5000
0.0000 0.5000 0.5000
0.8663 0.8663 0.0000
0.1337 0.1337 0.0000
```

Values from the calculation:
Its total energy is -3.516 eV per atom. As for the crystal system: tetragonal. Its formation energy is -0.92 eV/atom.

11.
The following is a PBE calculation of a relaxed structure of CdInGaS4, from Materials Project.

The structure in POSCAR format:
```
CdInGaS4
1.0
-2.5591 2.6350 -1.3510
-1.2834 -3.3412 1.5832
-0.6544 11.0609 22.8134
Cd In Ga S
2 2 2 8
Direct
0.0000 0.0000 0.2461
0.0000 0.0000 0.7539
0.6667 0.3333 0.3975
0.3333 0.6667 0.6025
0.6667 0.3333 0.8977
0.3333 0.6667 0.1023
0.6667 0.3333 0.5575
0.3333 0.6667 0.6971
0.6667 0.3333 0.0656
0.3333 0.6667 0.4425
0.6667 0.3333 0.8104
0.6667 0.3333 0.3029
0.3333 0.6667 0.1896
0.3333 0.6667 0.9344
```

Values from the calculation:
Its total energy is -3.875 eV per atom. As for the crystal system: trigonal. Its formation energy is -0.84 eV/atom.

12.
The following is a PBE calculation of a relaxed structure of GdZnGe, from Materials Project.

The structure in POSCAR format:
```
GdZnGe
1.0
2.1356 -3.6990 0.0000
2.1356 3.6990 0.0000
0.0000 0.0000 15.9610
Gd Zn Ge
4 4 4
Direct
0.0000 0.0000 0.7500
0.0000 0.0000 0.2500
0.0000 0.0000 0.5000
0.0000 0.0000 0.0000
0.6667 0.3333 0.8521
0.6667 0.3333 0.6479
0.3333 0.6667 0.1479
0.3333 0.6667 0.3521
0.6667 0.3333 0.1137
0.6667 0.3333 0.3863
0.3333 0.6667 0.8863
0.3333 0.6667 0.6137
```

Values from the calculation:
Its total energy is -7.329 eV per atom. As for the crystal system: hexagonal. Its formation energy is -0.68 eV/atom.

13.
The following is a PBE calculation of a relaxed structure of Cu3SbSe3, from Materials Project.

The structure in POSCAR format:
```
Cu3SbSe3
1.0
6.9162 0.0000 0.0000
0.0000 8.0467 0.0000
0.0000 0.0000 10.5843
Cu Sb Se
12 4 12
Direct
0.0661 0.6918 0.2500
0.5661 0.8082 0.7500
0.9339 0.3082 0.7500
0.4339 0.1918 0.2500
0.2535 0.0995 0.0461
0.7535 0.4005 0.9539
0.2465 0.5995 0.4539
0.7465 0.9005 0.5461
0.7465 0.9005 0.9539
0.2465 0.5995 0.0461
0.7535 0.4005 0.5461
0.2535 0.0995 0.4539
0.1091 0.7554 0.7500
0.6091 0.7446 0.2500
0.3909 0.2554 0.7500
0.8909 0.2446 0.2500
0.3488 0.8440 0.9375
0.8488 0.6560 0.0625
0.6512 0.1560 0.4375
0.1512 0.3440 0.5625
0.1410 0.9983 0.2500
0.6410 0.5017 0.7500
0.3590 0.4983 0.2500
0.8590 0.0017 0.7500
0.6512 0.1560 0.0625
0.1512 0.3440 0.9375
0.8488 0.6560 0.4375
0.3488 0.8440 0.5625
```

Values from the calculation:
Its total energy is -3.974 eV per atom. As for the crystal system: orthorhombic. Its formation energy is -0.33 eV/atom.

14.
The following is a PBE calculation of a relaxed structure of CuC4S4N2O12, from Materials Project.

The structure in POSCAR format:
```
CuC4S4N2O12
1.0
-7.8384 0.0000 0.0000
3.8316 8.1417 0.0000
-1.6932 -3.7847 -8.6758
Cu C S N O
1 4 4 2 12
Direct
0.5000 0.5000 0.5000
0.1404 0.4830 0.1096
0.8596 0.5170 0.8904
0.2164 0.0624 0.9040
0.7836 0.9376 0.0960
0.2718 0.9060 0.3310
0.7282 0.0940 0.6690
0.1580 0.7437 0.5603
0.8420 0.2563 0.4397
0.1474 0.8354 0.4580
0.8526 0.1646 0.5420
0.1563 0.9439 0.2558
0.8437 0.0561 0.7442
0.0025 0.4246 0.1673
0.9975 0.5754 0.8327
0.3755 0.1229 0.9252
0.6245 0.8771 0.0748
0.3318 0.7124 0.5518
0.6682 0.2876 0.4482
0.4278 0.3716 0.2929
0.5722 0.6284 0.7071
0.5814 0.5256 0.3151
0.4186 0.4744 0.6849
```

Values from the calculation:
Its total energy is -6.011 eV per atom. As for the crystal system: triclinic. Its formation energy is -0.29 eV/atom.

15.
The following is a PBE calculation of a relaxed structure of AlBiBr6, from Materials Project.

The structure in POSCAR format:
```
AlBiBr6
1.0
8.1353 0.0000 0.0000
-1.0514 8.1899 0.0000
-2.6979 -2.4829 9.3036
Al Bi Br
2 2 12
Direct
0.6877 0.2935 0.8514
0.3123 0.7065 0.1486
0.8073 0.4823 0.2935
0.1927 0.5177 0.7065
0.5571 0.3104 0.3531
0.4429 0.6896 0.6469
0.7564 0.5784 0.9654
0.2436 0.4216 0.0346
0.8485 0.2028 0.7023
0.1515 0.7972 0.2977
0.7386 0.1622 0.0432
0.2614 0.8378 0.9568
0.3907 0.2105 0.7144
0.6093 0.7895 0.2856
0.0670 0.3076 0.4137
0.9330 0.6924 0.5863
```

Values from the calculation:
Its total energy is -3.115 eV per atom. As for the crystal system: triclinic. Its formation energy is -1.33 eV/atom.